Computed, not measured: a relaxed CsTiF4 crystal at the meta-GGA r2SCAN level of DFT.

Lattice parameters (Å, degrees): 7.975 7.975 6.453 90.00 90.00 90.00
Sites, in units of the cell vectors:
Cs  0.000  0.000  0.500
Cs  0.500  0.500  0.500
Cs  0.000  0.500  0.436
Cs  0.500  0.000  0.564
Ti  0.750  0.250  0.000
Ti  0.750  0.750  0.000
Ti  0.250  0.250  0.000
Ti  0.250  0.750  0.000
F  0.744  0.500  0.063
F  0.000  0.756  0.063
F  0.000  0.244  0.063
F  0.256  0.500  0.063
F  0.756  0.000  0.937
F  0.244  0.000  0.937
F  0.500  0.744  0.937
F  0.500  0.256  0.937
F  0.712  0.212  0.285
F  0.712  0.788  0.285
F  0.288  0.212  0.285
F  0.288  0.788  0.285
F  0.788  0.712  0.715
F  0.212  0.288  0.715
F  0.212  0.712  0.715
F  0.788  0.288  0.715

Properties
V, Å³ per atom: 17.10
DFT formation energy, meV per atom: -3482
VASP energy, eV per atom: -11.91
Size of the total moment, μB/atom: 0.1667

Computed, not measured: a relaxed Sm10Se19 crystal at the meta-GGA r2SCAN level of DFT.

Lattice parameters (Å, degrees): 9.220 9.220 16.811 90.00 90.00 90.00
Sites, in units of the cell vectors:
Sm  0.553  0.852  0.394
Sm  0.148  0.053  0.894
Sm  0.352  0.447  0.894
Sm  0.947  0.648  0.394
Sm  0.447  0.148  0.606
Sm  0.852  0.947  0.106
Sm  0.648  0.553  0.106
Sm  0.053  0.352  0.606
Sm  0.544  0.848  0.880
Sm  0.152  0.044  0.380
Sm  0.348  0.456  0.380
Sm  0.956  0.652  0.880
Sm  0.456  0.152  0.120
Sm  0.848  0.956  0.620
Sm  0.652  0.544  0.620
Sm  0.044  0.348  0.120
Sm  0.250  0.750  0.116
Sm  0.250  0.750  0.616
Sm  0.750  0.250  0.884
Sm  0.750  0.250  0.384
Se  0.750  0.750  0.750
Se  0.250  0.250  0.250
Se  0.174  0.528  0.750
Se  0.472  0.674  0.250
Se  0.028  0.826  0.250
Se  0.326  0.972  0.750
Se  0.826  0.472  0.250
Se  0.528  0.326  0.750
Se  0.972  0.174  0.750
Se  0.674  0.028  0.250
Se  0.652  0.549  0.929
Se  0.451  0.152  0.429
Se  0.049  0.348  0.429
Se  0.848  0.951  0.929
Se  0.348  0.451  0.071
Se  0.549  0.848  0.571
Se  0.951  0.652  0.571
Se  0.152  0.049  0.071
Se  0.650  0.552  0.437
Se  0.448  0.150  0.937
Se  0.119  0.567  0.251
Se  0.433  0.619  0.751
Se  0.067  0.881  0.751
Se  0.381  0.933  0.251
Se  0.881  0.433  0.749
Se  0.567  0.381  0.249
Se  0.933  0.119  0.249
Se  0.619  0.067  0.749
Se  0.750  0.250  0.064
Se  0.750  0.250  0.564
Se  0.250  0.750  0.936
Se  0.250  0.750  0.436
Se  0.150  0.052  0.563
Se  0.948  0.650  0.063
Se  0.552  0.850  0.063
Se  0.350  0.448  0.563
Se  0.850  0.948  0.437
Se  0.052  0.350  0.937

Properties
V, Å³ per atom: 24.64
DFT formation energy, meV per atom: -1935
VASP energy, eV per atom: -21.56
Size of the total moment, μB/atom: 0.0000